The following is a DFT calculation (PBE) of crystalline Ce2WC2 at its relaxed geometry.

Uncorrected energy: -178.61 eV per cell
Symmetry: P4_2/mnm, No. 136
Formation energy: -0.27 eV per atom

Unit cell a=5.6773 b=5.6773 c=10.4135 alpha=90.00 beta=90.00 gamma=90.00
Fractional positions:
Ce: 0.1842 0.1842 0.1555
Ce: 0.1842 0.1842 0.8445
Ce: 0.3158 0.6842 0.3445
Ce: 0.3158 0.6842 0.6555
Ce: 0.6842 0.3158 0.3445
Ce: 0.6842 0.3158 0.6555
Ce: 0.8158 0.8158 0.1555
Ce: 0.8158 0.8158 0.8445
W: 0.1795 0.1795 0.5000
W: 0.3205 0.6795 0.0000
W: 0.6795 0.3205 0.0000
W: 0.8205 0.8205 0.5000
C: 0.0000 0.0000 0.3547
C: 0.0000 0.0000 0.6453
C: 0.0000 0.5000 0.0000
C: 0.0000 0.5000 0.5000
C: 0.5000 0.0000 0.0000
C: 0.5000 0.0000 0.5000
C: 0.5000 0.5000 0.1453
C: 0.5000 0.5000 0.8547